[1]
VASP calculation (GGA+U) on a geometry-optimized Li2MnVP2O8F2 structure.

abc: 5.2005 10.4871 10.5045
angles: 78.37 82.71 80.53
Fractional coordinates of all 48 atoms:
Li 0.0043 0.0804 0.2702
Li 0.3332 0.5871 0.3980
Li 0.3327 0.7463 0.9339
Li 0.6673 0.2537 0.0661
Li 0.6668 0.4129 0.6020
Li 0.9957 0.9196 0.7298
Mn 0.3320 0.6660 0.6672
Mn 0.5000 0.0000 0.5000
Mn 0.6680 0.3340 0.3328
V 0.0000 0.0000 0.0000
V 0.1681 0.3319 0.8332
V 0.8319 0.6681 0.1668
P 0.1483 0.2942 0.5290
P 0.1878 0.3731 0.1366
P 0.4824 0.9625 0.1997
P 0.5176 0.0375 0.8003
P 0.8122 0.6269 0.8634
P 0.8517 0.7058 0.4710
O 0.0280 0.3236 0.6652
O 0.0581 0.6999 0.8163
O 0.0763 0.6396 0.5581
O 0.1193 0.5213 0.1338
O 0.2196 0.1467 0.5309
O 0.2575 0.0260 0.1127
O 0.2765 0.9627 0.8514
O 0.3064 0.3421 0.0011
O 0.3632 0.9930 0.3354
O 0.3924 0.3689 0.4809
O 0.4110 0.3076 0.2243
O 0.4499 0.1853 0.8001
O 0.5501 0.8147 0.1999
O 0.5890 0.6924 0.7757
O 0.6076 0.6311 0.5191
O 0.6368 0.0070 0.6646
O 0.6936 0.6579 0.9989
O 0.7235 0.0373 0.1486
O 0.7425 0.9740 0.8873
O 0.7804 0.8533 0.4691
O 0.8807 0.4787 0.8662
O 0.9237 0.3604 0.4419
O 0.9419 0.3001 0.1837
O 0.9720 0.6764 0.3348
F 0.0672 0.8014 0.0626
F 0.2514 0.8691 0.6040
F 0.4051 0.4597 0.7321
F 0.5949 0.5403 0.2679
F 0.7486 0.1309 0.3960
F 0.9328 0.1986 0.9374

Values from the calculation:
distance to the lowest polymorph of the same formula = 0.45 eV/f.u.

[2]
VASP calculation (GGA+U) on a geometry-optimized Li2MnSO4F3 structure.

abc: 9.5493 7.4803 7.2939
angles: 90.00 90.00 90.00
Fractional coordinates of all 44 atoms:
Li 0.1986 0.1581 0.2260
Li 0.1986 0.8419 0.7260
Li 0.3014 0.3419 0.7260
Li 0.3014 0.6581 0.2260
Li 0.6986 0.3419 0.7740
Li 0.6986 0.6581 0.2740
Li 0.8014 0.1581 0.2740
Li 0.8014 0.8419 0.7740
Mn 0.0000 0.5000 0.0000
Mn 0.0000 0.5000 0.5000
Mn 0.5000 0.0000 0.0000
Mn 0.5000 0.0000 0.5000
S 0.0000 0.1667 0.7500
S 0.0000 0.8333 0.2500
S 0.5000 0.3333 0.2500
S 0.5000 0.6667 0.7500
O 0.0836 0.2892 0.6241
O 0.0836 0.7108 0.1241
O 0.1025 0.0584 0.8456
O 0.1025 0.9416 0.3456
O 0.3975 0.4416 0.3456
O 0.3975 0.5584 0.8456
O 0.4164 0.2108 0.1241
O 0.4164 0.7892 0.6241
O 0.5836 0.2108 0.3759
O 0.5836 0.7892 0.8759
O 0.6025 0.4416 0.1544
O 0.6025 0.5584 0.6544
O 0.8975 0.0584 0.6544
O 0.8975 0.9416 0.1544
O 0.9164 0.2892 0.8759
O 0.9164 0.7108 0.3759
F 0.0000 0.3360 0.2500
F 0.0000 0.6640 0.7500
F 0.1792 0.4080 0.9755
F 0.1792 0.5920 0.4755
F 0.3208 0.0920 0.4755
F 0.3208 0.9080 0.9755
F 0.5000 0.1640 0.7500
F 0.5000 0.8360 0.2500
F 0.6792 0.0920 0.0245
F 0.6792 0.9080 0.5245
F 0.8208 0.4080 0.5245
F 0.8208 0.5920 0.0245

[3]
VASP calculation (GGA+U) on a geometry-optimized LiMnSO4F structure.

abc: 5.2767 5.6710 7.5735
angles: 107.14 108.42 96.34
Fractional coordinates of all 16 atoms:
Li 0.2393 0.3800 0.2072
Li 0.7607 0.6200 0.7928
Mn 0.5000 0.0000 0.0000
Mn 0.5000 0.0000 0.5000
S 0.1734 0.3689 0.7572
S 0.8266 0.6311 0.2428
O 0.1003 0.7512 0.4002
O 0.1716 0.6411 0.8509
O 0.2264 0.2480 0.9122
O 0.3927 0.3493 0.6714
O 0.6073 0.6507 0.3286
O 0.7736 0.7520 0.0878
O 0.8284 0.3589 0.1491
O 0.8997 0.2488 0.5998
F 0.3788 0.1015 0.2455
F 0.6212 0.8985 0.7545

[4]
VASP calculation (GGA+U) on a geometry-optimized Rb2LiMn3F12 structure.

abc: 7.0268 7.5943 10.3973
angles: 90.67 92.25 90.45
Fractional coordinates of all 36 atoms:
Rb 0.0055 0.2478 0.3873
Rb 0.4848 0.2460 0.1288
Rb 0.5152 0.7540 0.8712
Rb 0.9945 0.7522 0.6127
Li 0.2112 0.7399 0.2605
Li 0.7888 0.2601 0.7395
Mn 0.0000 0.0000 0.0000
Mn 0.0000 0.5000 0.0000
Mn 0.2986 0.2481 0.7754
Mn 0.5000 0.0000 0.5000
Mn 0.5000 0.5000 0.5000
Mn 0.7014 0.7519 0.2246
F 0.0546 0.2624 0.7043
F 0.0928 0.7349 0.0061
F 0.1188 0.0363 0.1601
F 0.1344 0.4589 0.1540
F 0.2346 0.0596 0.9214
F 0.2548 0.4278 0.9001
F 0.2690 0.5553 0.4170
F 0.2743 0.9240 0.4173
F 0.3411 0.0518 0.6656
F 0.3716 0.4631 0.6539
F 0.4476 0.7600 0.1665
F 0.4511 0.2309 0.4361
F 0.5489 0.7691 0.5639
F 0.5524 0.2400 0.8335
F 0.6284 0.5369 0.3461
F 0.6589 0.9482 0.3344
F 0.7257 0.0760 0.5827
F 0.7310 0.4447 0.5830
F 0.7452 0.5722 0.0999
F 0.7654 0.9404 0.0786
F 0.8656 0.5411 0.8460
F 0.8812 0.9637 0.8399
F 0.9072 0.2651 0.9939
F 0.9454 0.7376 0.2957

[5]
VASP calculation (GGA+U) on a geometry-optimized LiMnVF6 structure.

abc: 8.8559 8.8559 4.7380
angles: 90.00 90.00 120.00
Fractional coordinates of all 27 atoms:
Li 0.0000 0.0000 0.0000
Li 0.3333 0.6667 0.5013
Li 0.6667 0.3333 0.4987
Mn 0.0000 0.6460 0.0000
Mn 0.3540 0.3540 0.0000
Mn 0.6460 0.0000 0.0000
V 0.0000 0.3144 0.5000
V 0.3144 0.0000 0.5000
V 0.6856 0.6856 0.5000
F 0.1082 0.2211 0.2432
F 0.1093 0.5309 0.2707
F 0.1129 0.8918 0.2432
F 0.2193 0.4391 0.7247
F 0.2197 0.7807 0.7247
F 0.2211 0.1082 0.7568
F 0.4216 0.8907 0.2707
F 0.4391 0.2193 0.2753
F 0.4691 0.5784 0.2707
F 0.5309 0.1093 0.7293
F 0.5609 0.7803 0.7247
F 0.5784 0.4691 0.7293
F 0.7789 0.8871 0.2432
F 0.7803 0.5609 0.2753
F 0.7807 0.2197 0.2753
F 0.8871 0.7789 0.7568
F 0.8907 0.4216 0.7293
F 0.8918 0.1129 0.7568

[6]
VASP calculation (GGA+U) on a geometry-optimized LiMnVF6 structure.

abc: 4.8260 4.8260 9.5544
angles: 90.00 90.00 90.00
Fractional coordinates of all 18 atoms:
Li 0.0000 0.0000 0.0000
Li 0.5000 0.5000 0.5000
Mn 0.0000 0.0000 0.6670
Mn 0.5000 0.5000 0.1670
V 0.0000 0.0000 0.3322
V 0.5000 0.5000 0.8322
F 0.1896 0.1896 0.1739
F 0.1936 0.1936 0.4880
F 0.2108 0.2108 0.8346
F 0.2892 0.7108 0.3346
F 0.3064 0.6936 0.9880
F 0.3104 0.6896 0.6739
F 0.6896 0.3104 0.6739
F 0.6936 0.3064 0.9880
F 0.7108 0.2892 0.3346
F 0.7892 0.7892 0.8346
F 0.8064 0.8064 0.4880
F 0.8104 0.8104 0.1739

[7]
VASP calculation (GGA+U) on a geometry-optimized Li3MoF6 structure.

abc: 5.6741 5.6741 5.6741
angles: 60.00 60.00 60.00
Fractional coordinates of all 10 atoms:
Li 0.0000 0.0000 0.0000
Li 0.2500 0.2500 0.2500
Li 0.7500 0.7500 0.7500
Mo 0.5000 0.5000 0.5000
F 0.2448 0.2448 0.7552
F 0.2448 0.7552 0.2448
F 0.2448 0.7552 0.7552
F 0.7552 0.2448 0.2448
F 0.7552 0.2448 0.7552
F 0.7552 0.7552 0.2448

[8]
VASP calculation (GGA+U) on a geometry-optimized NaLi2MoF6 structure.

abc: 5.9699 5.9699 5.9699
angles: 60.00 60.00 60.00
Fractional coordinates of all 10 atoms:
Na 0.0000 0.0000 0.0000
Li 0.2500 0.2500 0.2500
Li 0.7500 0.7500 0.7500
Mo 0.5000 0.5000 0.5000
F 0.2568 0.2568 0.7432
F 0.2568 0.7432 0.2568
F 0.2568 0.7432 0.7432
F 0.7432 0.2568 0.2568
F 0.7432 0.2568 0.7432
F 0.7432 0.7432 0.2568

Number 1: size of the total moment 18.00 Bohr magnetons per cell, corrected total energy (MP2020 scheme) -360.112 eV/cell, E -6.891 eV/atom. Number 2: size of the total moment 16.00 Bohr magnetons per cell, corrected total energy (MP2020 scheme) -276.140 eV/cell, E -5.748 eV/atom. Number 3: size of the total moment 0.00 Bohr magnetons per cell, corrected total energy (MP2020 scheme) -111.051 eV/cell, E -6.331 eV/atom. Number 4: size of the total moment 24.00 Bohr magnetons per cell, corrected total energy (MP2020 scheme) -214.546 eV/cell, E -5.374 eV/atom. Number 5: size of the total moment 21.00 Bohr magnetons per cell, corrected total energy (MP2020 scheme) -179.712 eV/cell, E -5.974 eV/atom. Number 6: size of the total moment 14.00 Bohr magnetons per cell, corrected total energy (MP2020 scheme) -119.797 eV/cell, E -5.973 eV/atom. Number 7: size of the total moment 3.00 Bohr magnetons per cell, corrected total energy (MP2020 scheme) -55.623 eV/cell, E -4.965 eV/atom. Number 8: size of the total moment 3.00 Bohr magnetons per cell, corrected total energy (MP2020 scheme) -54.261 eV/cell, E -4.829 eV/atom.